PBE U3Ga8Cu4, optimized geometry; M_tot = 7.507 μB/cell; calculated total energy = -5.079 eV per atom; space group = No. 119
1.0
-2.046 2.046 15.810
2.046 -2.046 15.810
2.046 2.046 -15.810
U Ga Cu
3 8 4
Cartesian
0.000 0.000 0.000
0.000 0.000 10.464
0.000 0.000 21.157
0.000 0.000 4.123
0.000 0.000 6.590
0.000 0.000 14.593
0.000 0.000 17.027
0.000 2.046 2.651
0.000 0.000 25.030
0.000 0.000 27.498
0.000 2.046 13.159
2.046 0.000 2.633
2.046 0.000 7.905
2.046 0.000 13.177
0.000 2.046 7.905